## Na3Mg5Si8H3O24 (GGA-PBE)

Data for an optimized crystal structure of Na3Mg5Si8H3O24.

Results
* total DFT energy (no corrections): -6.836 eV/atom
* ΔH_f (0 K): -2.93 eV/atom

a = 5.348 Å, b = 10.059 Å, c = 27.841 Å
α = 79.89°, β = 87.98°, γ = 77.27°
Space group P1 (No. 1)
Inequivalent atoms, fractional coordinates:
Na: 0.000 0.000 0.000 (multiplicity 1)
Na: 0.001 0.814 0.369 (multiplicity 1)
Na: 0.417 0.458 0.185 (multiplicity 1)
Na: 0.454 0.769 0.517 (multiplicity 1)
Na: 0.491 0.082 0.849 (multiplicity 1)
Na: 0.908 0.724 0.664 (multiplicity 1)
Na: 0.911 0.546 0.035 (multiplicity 1)
Na: 0.930 0.388 0.335 (multiplicity 1)
Na: 0.978 0.151 0.699 (multiplicity 1)
Mg: 0.418 0.553 0.969 (multiplicity 1)
Mg: 0.419 0.663 0.731 (multiplicity 1)
Mg: 0.433 0.598 0.850 (multiplicity 1)
Mg: 0.449 0.342 0.395 (multiplicity 1)
Mg: 0.454 0.269 0.517 (multiplicity 1)
Mg: 0.459 0.196 0.639 (multiplicity 1)
Mg: 0.473 0.996 0.061 (multiplicity 1)
Mg: 0.477 0.941 0.183 (multiplicity 1)
Mg: 0.490 0.876 0.302 (multiplicity 1)
Mg: 0.932 0.568 0.910 (multiplicity 1)
Mg: 0.933 0.624 0.791 (multiplicity 1)
Mg: 0.946 0.309 0.457 (multiplicity 1)
Mg: 0.963 0.230 0.576 (multiplicity 1)
Mg: 0.976 0.915 0.243 (multiplicity 1)
Mg: 0.979 0.967 0.124 (multiplicity 1)
Si: 0.145 0.849 0.905 (multiplicity 1)
Si: 0.148 0.900 0.793 (multiplicity 1)
Si: 0.163 0.577 0.464 (multiplicity 1)
Si: 0.177 0.509 0.577 (multiplicity 1)
Si: 0.189 0.192 0.238 (multiplicity 1)
Si: 0.193 0.243 0.126 (multiplicity 1)
Si: 0.232 0.259 0.965 (multiplicity 1)
Si: 0.233 0.362 0.738 (multiplicity 1)
Si: 0.235 0.058 0.404 (multiplicity 1)
Si: 0.258 0.918 0.627 (multiplicity 1)
Si: 0.266 0.604 0.297 (multiplicity 1)
Si: 0.271 0.706 0.072 (multiplicity 1)
Si: 0.640 0.832 0.962 (multiplicity 1)
Si: 0.642 0.935 0.736 (multiplicity 1)
Si: 0.651 0.621 0.407 (multiplicity 1)
Si: 0.674 0.481 0.630 (multiplicity 1)
Si: 0.676 0.177 0.296 (multiplicity 1)
Si: 0.687 0.269 0.073 (multiplicity 1)
Si: 0.717 0.295 0.908 (multiplicity 1)
Si: 0.720 0.347 0.795 (multiplicity 1)
Si: 0.731 0.029 0.457 (multiplicity 1)
Si: 0.746 0.962 0.570 (multiplicity 1)
Si: 0.761 0.639 0.241 (multiplicity 1)
Si: 0.764 0.691 0.129 (multiplicity 1)
H: 0.080 0.049 0.331 (multiplicity 1)
H: 0.189 0.393 0.852 (multiplicity 1)
H: 0.198 0.072 0.512 (multiplicity 1)
H: 0.207 0.743 0.182 (multiplicity 1)
H: 0.701 0.795 0.852 (multiplicity 1)
H: 0.711 0.467 0.522 (multiplicity 1)
H: 0.720 0.146 0.183 (multiplicity 1)
H: 0.820 0.340 0.000 (multiplicity 1)
H: 0.829 0.489 0.703 (multiplicity 1)
O: 0.018 0.978 0.434 (multiplicity 1)
O: 0.038 0.887 0.590 (multiplicity 1)
O: 0.058 0.568 0.259 (multiplicity 1)
O: 0.063 0.636 0.112 (multiplicity 1)
O: 0.142 0.492 0.851 (multiplicity 1)
O: 0.157 0.425 0.965 (multiplicity 1)
O: 0.157 0.530 0.736 (multiplicity 1)
O: 0.161 0.169 0.515 (multiplicity 1)
O: 0.168 0.279 0.182 (multiplicity 1)
O: 0.169 0.221 0.403 (multiplicity 1)
O: 0.170 0.932 0.849 (multiplicity 1)
O: 0.173 0.603 0.521 (multiplicity 1)
O: 0.181 0.840 0.184 (multiplicity 1)
O: 0.191 0.083 0.627 (multiplicity 1)
O: 0.200 0.770 0.295 (multiplicity 1)
O: 0.204 0.871 0.073 (multiplicity 1)
O: 0.217 0.682 0.907 (multiplicity 1)
O: 0.219 0.735 0.792 (multiplicity 1)
O: 0.237 0.414 0.461 (multiplicity 1)
O: 0.242 0.008 0.349 (multiplicity 1)
O: 0.245 0.346 0.576 (multiplicity 1)
O: 0.248 0.506 0.349 (multiplicity 1)
O: 0.254 0.310 0.687 (multiplicity 1)
O: 0.255 0.158 0.017 (multiplicity 1)
O: 0.255 0.650 0.022 (multiplicity 1)
O: 0.261 0.810 0.676 (multiplicity 1)
O: 0.264 0.026 0.241 (multiplicity 1)
O: 0.264 0.079 0.126 (multiplicity 1)
O: 0.348 0.903 0.936 (multiplicity 1)
O: 0.353 0.982 0.762 (multiplicity 1)
O: 0.371 0.664 0.437 (multiplicity 1)
O: 0.394 0.562 0.605 (multiplicity 1)
O: 0.417 0.250 0.261 (multiplicity 1)
O: 0.418 0.323 0.102 (multiplicity 1)
O: 0.488 0.218 0.930 (multiplicity 1)
O: 0.492 0.289 0.773 (multiplicity 1)
O: 0.514 0.977 0.429 (multiplicity 1)
O: 0.538 0.875 0.597 (multiplicity 1)
O: 0.555 0.556 0.271 (multiplicity 1)
O: 0.562 0.634 0.098 (multiplicity 1)
O: 0.643 0.460 0.909 (multiplicity 1)
O: 0.645 0.513 0.793 (multiplicity 1)
O: 0.647 0.729 0.357 (multiplicity 1)
O: 0.655 0.229 0.347 (multiplicity 1)
O: 0.660 0.033 0.685 (multiplicity 1)
O: 0.661 0.884 0.012 (multiplicity 1)
O: 0.663 0.193 0.458 (multiplicity 1)
O: 0.664 0.373 0.018 (multiplicity 1)
O: 0.667 0.530 0.685 (multiplicity 1)
O: 0.671 0.125 0.573 (multiplicity 1)
O: 0.690 0.803 0.242 (multiplicity 1)
O: 0.691 0.856 0.127 (multiplicity 1)
O: 0.705 0.666 0.961 (multiplicity 1)
O: 0.708 0.768 0.738 (multiplicity 1)
O: 0.718 0.455 0.406 (multiplicity 1)
O: 0.727 0.698 0.850 (multiplicity 1)
O: 0.736 0.936 0.512 (multiplicity 1)
O: 0.739 0.606 0.185 (multiplicity 1)
O: 0.740 0.318 0.631 (multiplicity 1)
O: 0.746 0.260 0.852 (multiplicity 1)
O: 0.748 0.370 0.519 (multiplicity 1)
O: 0.751 0.107 0.071 (multiplicity 1)
O: 0.752 0.009 0.297 (multiplicity 1)
O: 0.767 0.047 0.183 (multiplicity 1)
O: 0.845 0.902 0.921 (multiplicity 1)
O: 0.851 0.971 0.775 (multiplicity 1)
O: 0.871 0.652 0.444 (multiplicity 1)
O: 0.891 0.561 0.600 (multiplicity 1)
O: 0.915 0.242 0.265 (multiplicity 1)
O: 0.915 0.320 0.100 (multiplicity 1)
O: 0.990 0.221 0.936 (multiplicity 1)
O: 0.994 0.297 0.768 (multiplicity 1)

## Sr2MgCuBr2O2 (GGA-PBE)

Data for an optimized crystal structure of Sr2MgCuBr2O2.

Results
* energy above the lowest structure with this stoichiometry: 253.5 meV per atom
* total DFT energy (no corrections): -4.113 eV/atom
* ΔH_f (0 K): -1.50 eV/atom

a = 4.125 Å, b = 4.125 Å, c = 22.107 Å
α = 90.00°, β = 90.00°, γ = 90.00°
Space group I4/mmm (No. 139)
Inequivalent atoms, fractional coordinates:
Sr: 0.000 0.000 0.147 (multiplicity 4)
Mg: 0.000 0.000 0.000 (multiplicity 2)
Cu: 0.000 0.000 0.500 (multiplicity 2)
Br: 0.000 0.000 0.305 (multiplicity 4)
O: 0.000 0.500 0.000 (multiplicity 4)

## KTi4O8 (GGA-PBE)

Data for an optimized crystal structure of KTi4O8.

Results
* total DFT energy (no corrections): -8.466 eV/atom
* ΔH_f (0 K): -3.33 eV/atom

a = 10.206 Å, b = 10.206 Å, c = 3.004 Å
α = 90.00°, β = 90.00°, γ = 90.00°
Space group I4/m (No. 87)
Inequivalent atoms, fractional coordinates:
K: 0.000 0.000 0.000 (multiplicity 2)
Ti: 0.148 0.669 0.000 (multiplicity 8)
O: 0.042 0.335 0.000 (multiplicity 8)
O: 0.154 0.800 0.500 (multiplicity 8)

Question: What is the formula in the second record?
Answer: Sr2MgCuBr2O2

Please write out number 2 again, unchanged.
## Sr2MgCuBr2O2 (GGA-PBE)

Data for an optimized crystal structure of Sr2MgCuBr2O2.

Results
* energy above the lowest structure with this stoichiometry: 253.5 meV per atom
* total DFT energy (no corrections): -4.113 eV/atom
* ΔH_f (0 K): -1.50 eV/atom

a = 4.125 Å, b = 4.125 Å, c = 22.107 Å
α = 90.00°, β = 90.00°, γ = 90.00°
Space group I4/mmm (No. 139)
Inequivalent atoms, fractional coordinates:
Sr: 0.000 0.000 0.147 (multiplicity 4)
Mg: 0.000 0.000 0.000 (multiplicity 2)
Cu: 0.000 0.000 0.500 (multiplicity 2)
Br: 0.000 0.000 0.305 (multiplicity 4)
O: 0.000 0.500 0.000 (multiplicity 4)

Question: Number 2 is which compound?
Answer: Sr2MgCuBr2O2